# 1
SrLa2Co3O9 GGA+U optimized geometry; calculated volume = 12.02 A^3/atom; DFT formation energy = -2.4028 eV per atom
1.0
3.863 0.013 3.862
-0.026 3.958 3.900
-7.889 -7.921 7.864
Sr La Co O
2 4 6 18
Direct
0.321 0.337 0.418
0.346 0.331 0.915
0.682 0.651 0.082
0.665 0.657 0.584
0.983 0.016 0.252
0.003 0.008 0.748
0.334 0.333 0.167
0.670 0.668 0.839
0.997 0.999 0.494
0.333 0.333 0.667
0.661 0.671 0.337
0.006 0.997 0.996
0.790 0.843 0.441
0.876 0.826 0.892
0.825 0.327 0.412
0.841 0.343 0.923
0.305 0.811 0.395
0.361 0.857 0.938
0.124 0.171 0.110
0.218 0.103 0.571
0.543 0.494 0.224
0.449 0.562 0.762
0.476 0.060 0.257
0.487 0.032 0.745
0.192 0.605 0.077
0.179 0.634 0.588
0.978 0.578 0.258
0.972 0.469 0.728
0.690 0.087 0.076
0.695 0.197 0.605



# 2
SrLaCoO4 GGA+U optimized geometry; calculated volume = 13.69 A^3/atom; DFT formation energy = -2.7658 eV per atom
1.0
4.227 -0.189 3.433
-1.014 5.121 1.528
-6.011 -2.074 2.963
Sr La Co O
2 2 2 8
Direct
0.144 0.500 0.289
0.356 0.000 0.711
0.642 0.001 0.282
0.859 0.501 0.719
0.007 0.000 0.013
0.493 0.500 0.986
0.821 0.998 0.641
0.680 0.497 0.359
0.337 0.501 0.671
0.162 0.001 0.329
0.236 0.243 0.993
0.757 0.757 0.994
0.264 0.743 0.007
0.743 0.257 0.005



# 3
SrLa2Co3O9 GGA+U optimized geometry; calculated volume = 11.67 A^3/atom; DFT formation energy = -2.3808 eV per atom
1.0
-3.661 -1.687 3.743
4.680 -6.860 -2.587
4.234 -2.029 7.248
Sr La Co O
2 4 6 18
Direct
0.666 0.582 0.248
0.667 0.082 0.751
0.327 0.413 0.755
0.336 0.923 0.247
0.003 0.250 0.251
0.997 0.748 0.754
0.665 0.831 0.501
0.667 0.333 0.000
0.332 0.666 0.002
0.334 0.167 0.501
0.998 0.498 0.501
0.000 0.000 0.000
0.669 0.835 0.997
0.667 0.334 0.500
0.167 0.580 0.246
0.168 0.085 0.752
0.167 0.835 0.997
0.173 0.331 0.501
0.332 0.171 0.005
0.321 0.670 0.502
0.000 0.494 0.995
0.013 0.002 0.495
0.488 0.737 0.756
0.495 0.243 0.248
0.838 0.422 0.753
0.841 0.930 0.244
0.499 0.494 0.995
0.495 0.000 0.496
0.836 0.172 0.004
0.839 0.673 0.504



# 4
SrLaCoO4 GGA+U optimized geometry; calculated volume = 13.58 A^3/atom; DFT formation energy = -2.7396 eV per atom
1.0
3.869 0.000 -0.001
-0.001 7.702 -0.001
-1.935 -1.926 6.382
Sr La Co O
2 2 2 8
Direct
0.641 0.322 0.283
0.644 0.820 0.287
0.358 0.674 0.716
0.357 0.184 0.715
0.003 0.001 0.005
0.007 0.503 0.013
0.831 0.415 0.661
0.836 0.918 0.671
0.174 0.587 0.349
0.172 0.086 0.344
0.490 0.495 0.981
0.497 0.998 0.993
0.996 0.743 0.991
0.995 0.252 0.990



# 5
SrLa2Co3O9 GGA+U optimized geometry; calculated volume = 11.71 A^3/atom; DFT formation energy = -2.3642 eV per atom
1.0
3.867 -0.006 3.935
-3.861 3.884 -0.011
-3.830 -3.864 3.905
Sr La Co O
1 2 3 9
Direct
0.667 0.333 0.834
0.333 0.664 0.172
0.000 0.001 0.502
0.332 0.667 0.674
0.000 0.998 0.000
0.667 0.333 0.332
0.678 0.835 0.834
0.321 0.159 0.170
0.005 0.512 0.489
0.493 0.005 0.489
0.165 0.321 0.833
0.834 0.669 0.171
0.491 0.514 0.494
0.171 0.830 0.834
0.842 0.159 0.173



# 6
Sr2LaCoO6 GGA+U optimized geometry; calculated volume = 14.49 A^3/atom; DFT formation energy = -2.4613 eV per atom
1.0
0.000 4.168 4.168
4.168 0.000 4.168
4.168 4.168 0.000
Sr La Co O
2 1 1 6
Direct
0.750 0.750 0.750
0.250 0.250 0.250
0.500 0.500 0.500
0.000 0.000 0.000
0.773 0.773 0.227
0.227 0.227 0.773
0.227 0.773 0.773
0.773 0.227 0.227
0.773 0.227 0.773
0.227 0.773 0.227



Among the records above, which one has the lowest calculated volume? number 3



Please write out number 4 again, unchanged.
SrLaCoO4 GGA+U optimized geometry; calculated volume = 13.58 A^3/atom; DFT formation energy = -2.7396 eV per atom
1.0
3.869 0.000 -0.001
-0.001 7.702 -0.001
-1.935 -1.926 6.382
Sr La Co O
2 2 2 8
Direct
0.641 0.322 0.283
0.644 0.820 0.287
0.358 0.674 0.716
0.357 0.184 0.715
0.003 0.001 0.005
0.007 0.503 0.013
0.831 0.415 0.661
0.836 0.918 0.671
0.174 0.587 0.349
0.172 0.086 0.344
0.490 0.495 0.981
0.497 0.998 0.993
0.996 0.743 0.991
0.995 0.252 0.990